No. 1
First-principles (GGA-PBE) data for a relaxed TiNbS4 crystal, as listed in the Materials Project.

a = 7.001 Å, b = 7.001 Å, c = 5.882 Å
α = 65.39°, β = 65.39°, γ = 27.98°
Fractional positions:
S (0.877, 0.877, 0.795)
S (0.380, 0.380, 0.282)
S (0.123, 0.123, 0.205)
S (0.620, 0.620, 0.718)
Ti (0.000, 0.000, 0.000)
Nb (0.500, 0.500, 0.500)

## Properties
Its total energy is -0.5058 Ry/atom. The volume is 20.36 A^3/atom.

---

No. 2
First-principles (GGA-PBE) data for a relaxed HfBRh3 crystal, as listed in the Materials Project.

a = 4.137 Å, b = 4.137 Å, c = 4.137 Å
α = 90.00°, β = 90.00°, γ = 90.00°
Fractional positions:
Rh (0.500, 0.000, 0.500)
Rh (0.000, 0.500, 0.500)
Rh (0.500, 0.500, 0.000)
Hf (0.000, 0.000, 0.000)
B (0.500, 0.500, 0.500)

## Properties
Its total energy is -0.6264 Ry/atom. The volume is 14.16 A^3/atom.

---

No. 3
First-principles (GGA-PBE) data for a relaxed BaH2O2 crystal, as listed in the Materials Project.

a = 7.302 Å, b = 11.383 Å, c = 16.716 Å
α = 90.00°, β = 90.00°, γ = 90.00°
Fractional positions:
O (0.842, 0.714, 0.397)
O (0.661, 0.211, 0.883)
O (0.158, 0.286, 0.897)
O (0.342, 0.786, 0.897)
O (0.533, 0.488, 0.136)
O (0.533, 0.488, 0.364)
O (0.967, 0.988, 0.136)
O (0.319, 0.184, 0.750)
O (0.161, 0.289, 0.117)
O (0.120, 0.579, 0.250)
O (0.158, 0.286, 0.603)
O (0.819, 0.316, 0.250)
O (0.033, 0.012, 0.864)
O (0.661, 0.211, 0.617)
O (0.839, 0.711, 0.883)
O (0.342, 0.786, 0.603)
O (0.339, 0.789, 0.383)
O (0.339, 0.789, 0.117)
O (0.033, 0.012, 0.636)
O (0.798, 0.444, 0.979)
O (0.839, 0.711, 0.617)
O (0.380, 0.079, 0.250)
O (0.798, 0.444, 0.521)
O (0.967, 0.988, 0.364)
O (0.681, 0.816, 0.250)
O (0.467, 0.512, 0.636)
O (0.202, 0.556, 0.479)
O (0.658, 0.214, 0.397)
O (0.880, 0.421, 0.750)
O (0.298, 0.056, 0.479)
O (0.702, 0.944, 0.521)
O (0.702, 0.944, 0.979)
O (0.181, 0.684, 0.750)
O (0.842, 0.714, 0.103)
O (0.658, 0.214, 0.103)
O (0.298, 0.056, 0.021)
O (0.620, 0.921, 0.750)
O (0.161, 0.289, 0.383)
O (0.202, 0.556, 0.021)
O (0.467, 0.512, 0.864)
H (0.539, 0.452, 0.661)
H (0.127, 0.223, 0.349)
H (0.373, 0.723, 0.151)
H (0.595, 0.751, 0.250)
H (0.250, 0.585, 0.072)
H (0.260, 0.759, 0.646)
H (0.740, 0.241, 0.146)
H (0.627, 0.277, 0.849)
H (0.873, 0.777, 0.849)
H (0.750, 0.915, 0.928)
H (0.760, 0.741, 0.146)
H (0.240, 0.259, 0.646)
H (0.461, 0.548, 0.161)
H (0.250, 0.561, 0.250)
H (0.240, 0.259, 0.854)
H (0.539, 0.452, 0.839)
H (0.750, 0.439, 0.750)
H (0.760, 0.741, 0.354)
H (0.750, 0.415, 0.572)
H (0.905, 0.251, 0.250)
H (0.373, 0.723, 0.349)
H (0.039, 0.048, 0.339)
H (0.627, 0.277, 0.651)
H (0.750, 0.939, 0.750)
H (0.039, 0.048, 0.161)
H (0.750, 0.915, 0.572)
H (0.961, 0.952, 0.661)
H (0.250, 0.085, 0.072)
H (0.260, 0.759, 0.854)
H (0.873, 0.777, 0.651)
H (0.740, 0.241, 0.354)
H (0.250, 0.061, 0.250)
H (0.250, 0.085, 0.428)
H (0.750, 0.415, 0.928)
H (0.250, 0.585, 0.428)
H (0.095, 0.749, 0.750)
H (0.961, 0.952, 0.839)
H (0.461, 0.548, 0.339)
H (0.405, 0.249, 0.750)
H (0.127, 0.223, 0.151)
Ba (0.918, 0.478, 0.375)
Ba (0.426, 0.334, 0.488)
Ba (0.074, 0.834, 0.488)
Ba (0.074, 0.834, 0.012)
Ba (0.418, 0.022, 0.625)
Ba (0.926, 0.166, 0.512)
Ba (0.574, 0.666, 0.512)
Ba (0.582, 0.978, 0.375)
Ba (0.918, 0.478, 0.125)
Ba (0.426, 0.334, 0.012)
Ba (0.542, 0.687, 0.750)
Ba (0.958, 0.187, 0.750)
Ba (0.042, 0.813, 0.250)
Ba (0.082, 0.522, 0.625)
Ba (0.926, 0.166, 0.988)
Ba (0.582, 0.978, 0.125)
Ba (0.082, 0.522, 0.875)
Ba (0.418, 0.022, 0.875)
Ba (0.574, 0.666, 0.988)
Ba (0.458, 0.313, 0.250)

## Properties
Its total energy is -0.4027 Ry/atom. The volume is 13.89 A^3/atom.

---

No. 4
First-principles (GGA-PBE) data for a relaxed BaTi14O28 crystal, as listed in the Materials Project.

a = 8.518 Å, b = 10.397 Å, c = 13.609 Å
α = 95.68°, β = 96.25°, γ = 112.10°
Fractional positions:
Ba (0.715, 0.786, 0.714)
Ba (0.285, 0.214, 0.286)
O (0.666, 0.753, 0.371)
O (0.043, 0.539, 0.339)
O (0.906, 0.182, 0.954)
O (0.809, 0.612, 0.519)
O (0.243, 0.176, 0.949)
O (0.482, 0.615, 0.529)
O (0.762, 0.324, 0.811)
O (0.191, 0.388, 0.481)
O (0.384, 0.036, 0.093)
O (0.618, 0.191, 0.261)
O (0.681, 0.484, 0.309)
O (0.235, 0.950, 0.597)
O (0.957, 0.461, 0.661)
O (0.974, 0.195, 0.599)
O (0.256, 0.916, 0.880)
O (0.051, 0.758, 0.693)
O (0.380, 0.527, 0.332)
O (0.334, 0.247, 0.629)
O (0.910, 0.900, 0.552)
O (0.616, 0.964, 0.907)
O (0.099, 0.320, 0.804)
O (0.949, 0.242, 0.307)
O (0.744, 0.084, 0.120)
O (0.051, 0.043, 0.099)
O (0.113, 0.050, 0.741)
O (0.620, 0.473, 0.668)
O (0.399, 0.772, 0.023)
O (0.901, 0.680, 0.196)
O (0.887, 0.950, 0.259)
O (0.601, 0.228, 0.977)
O (0.826, 0.345, 0.450)
O (0.475, 0.106, 0.771)
O (0.520, 0.673, 0.876)
O (0.518, 0.385, 0.471)
O (0.342, 0.473, 0.977)
O (0.382, 0.809, 0.739)
O (0.238, 0.676, 0.189)
O (0.174, 0.655, 0.550)
O (0.319, 0.516, 0.691)
O (0.765, 0.050, 0.403)
O (0.802, 0.384, 0.165)
O (0.458, 0.370, 0.834)
O (0.090, 0.100, 0.448)
O (0.189, 0.907, 0.237)
O (0.525, 0.894, 0.229)
O (0.757, 0.824, 0.051)
O (0.480, 0.327, 0.124)
O (0.658, 0.527, 0.023)
O (0.542, 0.630, 0.166)
O (0.026, 0.805, 0.401)
O (0.669, 0.243, 0.621)
O (0.949, 0.957, 0.901)
O (0.811, 0.093, 0.763)
O (0.198, 0.616, 0.835)
O (0.331, 0.757, 0.379)
O (0.094, 0.818, 0.046)
Ti (0.033, 0.775, 0.541)
Ti (0.261, 0.581, 0.442)
Ti (0.963, 0.862, 0.149)
Ti (0.735, 0.058, 0.260)
Ti (0.265, 0.942, 0.740)
Ti (0.605, 0.569, 0.418)
Ti (0.037, 0.138, 0.851)
Ti (0.166, 0.626, 0.693)
Ti (0.115, 0.728, 0.294)
Ti (0.686, 0.156, 0.866)
Ti (0.395, 0.803, 0.883)
Ti (0.967, 0.225, 0.459)
Ti (0.543, 0.658, 0.022)
Ti (0.739, 0.419, 0.558)
Ti (0.834, 0.374, 0.307)
Ti (0.885, 0.272, 0.706)
Ti (0.314, 0.484, 0.835)
Ti (0.881, 0.917, 0.402)
Ti (0.395, 0.431, 0.582)
Ti (0.686, 0.516, 0.165)
Ti (0.314, 0.844, 0.134)
Ti (0.605, 0.197, 0.117)
Ti (0.547, 0.296, 0.728)
Ti (0.828, 0.013, 0.009)
Ti (0.453, 0.704, 0.272)
Ti (0.119, 0.083, 0.598)
Ti (0.457, 0.342, 0.978)
Ti (0.172, 0.987, 0.991)

## Properties
Its total energy is -0.6505 Ry/atom. The volume is 12.76 A^3/atom.

---

No. 5
First-principles (GGA-PBE) data for a relaxed Li3CuP2O8 crystal, as listed in the Materials Project.

a = 5.012 Å, b = 6.677 Å, c = 10.182 Å
α = 89.76°, β = 90.00°, γ = 90.00°
Fractional positions:
Cu (0.931, 0.997, 0.847)
Cu (0.069, 0.997, 0.347)
O (0.128, 0.240, 0.893)
O (0.381, 0.754, 0.103)
O (0.459, 0.442, 0.339)
O (0.447, 0.062, 0.338)
O (0.484, 0.248, 0.555)
O (0.042, 0.558, 0.657)
O (0.553, 0.062, 0.838)
O (0.516, 0.248, 0.055)
O (0.872, 0.240, 0.393)
O (0.979, 0.759, 0.948)
O (0.619, 0.754, 0.603)
O (0.958, 0.938, 0.166)
O (0.541, 0.442, 0.839)
O (0.958, 0.558, 0.157)
O (0.021, 0.759, 0.448)
O (0.042, 0.938, 0.666)
P (0.560, 0.254, 0.410)
P (0.923, 0.748, 0.595)
P (0.440, 0.254, 0.910)
P (0.077, 0.748, 0.095)
Li (0.430, 0.501, 0.655)
Li (0.073, 0.498, 0.340)
Li (0.567, 0.998, 0.153)
Li (0.570, 0.501, 0.155)
Li (0.433, 0.998, 0.653)
Li (0.927, 0.498, 0.840)

## Properties
The volume is 12.17 A^3/atom. The value obtained for the offset from the most stable computed form is 1 meV/atom.

---

No. 6
First-principles (GGA-PBE) data for a relaxed Li4GeS4 crystal, as listed in the Materials Project.

a = 6.459 Å, b = 7.869 Å, c = 13.441 Å
α = 90.00°, β = 90.00°, γ = 90.00°
Fractional positions:
Li (0.987, 0.289, 0.202)
Li (0.669, 0.004, 0.156)
Li (0.513, 0.289, 0.702)
Li (0.150, 0.247, 0.567)
Li (0.487, 0.789, 0.298)
Li (0.354, 0.007, 0.842)
Li (0.854, 0.507, 0.658)
Li (0.350, 0.247, 0.067)
Li (0.169, 0.504, 0.344)
Li (0.013, 0.789, 0.798)
Li (0.146, 0.007, 0.342)
Li (0.850, 0.747, 0.433)
Li (0.650, 0.747, 0.933)
Li (0.331, 0.504, 0.844)
Li (0.831, 0.004, 0.656)
Li (0.646, 0.507, 0.158)
S (0.272, 0.517, 0.169)
S (0.216, 0.976, 0.672)
S (0.284, 0.976, 0.172)
S (0.784, 0.476, 0.328)
S (0.767, 0.256, 0.567)
S (0.233, 0.756, 0.433)
S (0.716, 0.476, 0.828)
S (0.308, 0.252, 0.407)
S (0.772, 0.017, 0.331)
S (0.228, 0.517, 0.669)
S (0.728, 0.017, 0.831)
S (0.267, 0.756, 0.933)
S (0.733, 0.256, 0.067)
S (0.192, 0.252, 0.907)
S (0.692, 0.752, 0.593)
S (0.808, 0.752, 0.093)
Ge (0.849, 0.250, 0.910)
Ge (0.151, 0.750, 0.090)
Ge (0.651, 0.250, 0.410)
Ge (0.349, 0.750, 0.590)

## Properties
The volume is 18.97 A^3/atom. The value obtained for the offset from the most stable computed form is 26 meV/atom.

---

No. 7
First-principles (GGA-PBE) data for a relaxed CeGe4Rh6 crystal, as listed in the Materials Project.

a = 7.228 Å, b = 7.228 Å, c = 3.886 Å
α = 90.00°, β = 90.00°, γ = 120.00°
Fractional positions:
Rh (0.066, 0.533, 0.000)
Rh (0.399, 0.200, 0.500)
Rh (0.800, 0.601, 0.500)
Rh (0.800, 0.200, 0.500)
Rh (0.467, 0.934, 0.000)
Rh (0.467, 0.533, 0.000)
Ge (0.604, 0.802, 0.500)
Ge (0.198, 0.396, 0.500)
Ge (0.667, 0.333, 0.000)
Ge (0.198, 0.802, 0.500)
Ce (0.000, 0.000, 0.000)

## Properties
Its total energy is -0.5131 Ry/atom. The volume is 15.99 A^3/atom.

---

No. 8
First-principles (GGA-PBE) data for a relaxed Np crystal, as listed in the Materials Project.

a = 4.667 Å, b = 4.796 Å, c = 6.587 Å
α = 90.00°, β = 90.00°, γ = 90.00°
Fractional positions:
Np (0.750, 0.718, 0.455)
Np (0.250, 0.860, 0.318)
Np (0.250, 0.282, 0.545)
Np (0.250, 0.218, 0.045)
Np (0.750, 0.360, 0.182)
Np (0.250, 0.640, 0.818)
Np (0.750, 0.782, 0.955)
Np (0.750, 0.140, 0.682)

## Properties
The volume is 18.43 A^3/atom. The value obtained for the offset from the most stable computed form is 0 meV/atom.

---

The lowest volume belongs to which entry? Li3CuP2O8